A relaxed NaLaMnWO6 crystal, computed with GGA+U.

```
20
Lattice="5.639 0.000 0.000 0.000 5.711 0.000 -0.024 0.000 8.107" Properties=species:S:1:pos:R:3 pbc="T T T"
Na 1.389 0.000 0.002
Na 4.226 2.856 8.105
La 1.439 5.363 4.054
La 4.177 2.508 4.053
Mn 1.390 2.717 6.180
Mn 4.225 5.572 1.926
W 1.381 2.753 1.938
W 4.234 5.608 6.168
O 0.175 4.549 6.302
O 0.400 4.405 1.763
O 0.913 2.888 3.974
O 1.887 2.597 0.146
O 2.537 1.236 2.500
O 2.683 1.060 5.619
O 2.932 3.916 2.488
O 3.079 4.092 5.606
O 3.728 5.452 7.960
O 4.702 0.033 4.133
O 5.215 1.549 6.343
O 5.441 1.694 1.805
```

Results
Crystal system ... monoclinic
ΔH_f (0 K) ... -2590 kJ/mol of formula units
E ... -149.37 eV for the cell shown
V ... 261 Å³/cell
Symmetry ... No. 4

---

A relaxed LiV2F7 crystal, computed with GGA+U.

```
40
Lattice="11.719 0.000 0.000 0.000 7.459 0.000 0.000 0.000 5.403" Properties=species:S:1:pos:R:3 pbc="T T T"
Li 1.760 1.865 0.624
Li 4.099 5.594 3.326
Li 7.620 1.865 2.077
Li 9.958 5.594 4.779
V 1.473 0.167 3.377
V 1.473 3.562 3.377
V 4.387 3.897 0.676
V 4.387 7.292 0.676
V 7.332 0.167 4.727
V 7.332 3.562 4.727
V 10.246 3.897 2.026
V 10.246 7.292 2.026
F 0.493 0.179 1.598
F 0.493 3.550 1.598
F 0.773 1.865 4.378
F 1.475 5.594 3.641
F 2.159 1.865 2.512
F 2.670 0.358 5.085
F 2.670 3.372 5.085
F 3.190 4.087 2.384
F 3.190 7.101 2.384
F 3.701 5.594 5.213
F 4.384 1.865 0.940
F 5.086 5.594 1.676
F 5.366 3.909 4.299
F 5.366 7.279 4.299
F 6.353 0.179 1.104
F 6.353 3.550 1.104
F 6.633 1.865 3.727
F 7.334 5.594 4.463
F 8.018 1.865 0.190
F 8.529 0.358 3.019
F 8.529 3.372 3.019
F 9.049 4.087 0.318
F 9.049 7.101 0.318
F 9.560 5.594 2.891
F 10.244 1.865 1.762
F 10.945 5.594 1.025
F 11.225 3.909 3.805
F 11.225 7.279 3.805
```

Results
Crystal system ... orthorhombic
ΔH_f (0 K) ... -3027 kJ/mol of formula units
E ... -232.87 eV for the cell shown
V ... 472 Å³/cell
Symmetry ... No. 62

---

A relaxed Li4Fe2OF8 crystal, computed with GGA+U.

```
30
Lattice="4.421 -2.558 0.000 4.421 2.558 0.000 -0.027 0.000 14.026" Properties=species:S:1:pos:R:3 pbc="T T T"
Li 4.407 2.530 7.013
Li 0.093 0.029 4.119
Li 0.080 -0.029 11.132
Li 3.009 0.098 8.693
Li 3.043 0.027 4.569
Li 3.029 -0.027 11.582
Li 3.023 -0.098 1.680
Li 4.421 -2.530 0.000
Fe 5.994 0.049 13.454
Fe 6.042 0.029 2.252
Fe 6.029 -0.029 9.264
Fe 6.008 -0.049 6.441
O 7.168 0.684 0.841
O 7.155 -0.684 7.854
F 3.066 1.756 12.513
F 1.600 0.828 10.213
F 2.977 1.614 3.235
F 5.830 1.706 12.502
F 4.545 0.917 5.573
F 1.614 -0.828 3.200
F 4.429 0.748 10.141
F 5.879 1.569 7.886
F 4.562 0.720 0.814
F 4.443 -0.748 3.128
F 2.963 -1.614 10.248
F 4.548 -0.720 7.827
F 3.080 -1.756 5.500
F 4.531 -0.917 12.585
F 5.892 -1.569 0.873
F 5.844 -1.706 5.489
```

Results
Crystal system ... monoclinic
ΔH_f (0 K) ... -4031 kJ/mol of formula units
E ... -155.44 eV for the cell shown
V ... 317 Å³/cell
Symmetry ... No. 9